(1)
# ThIrOs

A relaxed ThIrOs crystal (PBE, the Materials Project).

a = 5.5107 Å, b = 5.5107 Å, c = 5.5107 Å
α = 123.34°, β = 119.69°, γ = 87.43°
Closest atoms and distances in Å follow each position.
Sites, in units of the cell vectors:
Th: 0.1277 0.8777 0.2500  6 Ir 3.12-3.31, 6 Os 3.23-3.24, 4 Th 3.31-3.39
Th: 0.8723 0.1223 0.7500  6 Ir 3.12-3.31, 6 Os 3.23-3.24, 4 Th 3.31-3.39
Ir: 0.0000 0.5000 0.5000  4 Os 2.76, 2 Ir 2.77
Ir: 0.5000 0.5000 0.0000  4 Os 2.76, 2 Ir 2.77
Os: 0.5000 0.0000 0.0000  2 Os 2.61, 4 Ir 2.76
Os: 0.5000 0.5000 0.5000  2 Os 2.61, 4 Ir 2.76

Values from the calculation:
Mass density: 17.694 g/cm³
E_tot: -0.357 hartree per atom

***

(2)
# LiSn2P3O12

A relaxed LiSn2P3O12 crystal (PBE, the Materials Project).

a = 8.5502 Å, b = 8.5640 Å, c = 9.0261 Å
α = 118.04°, β = 90.30°, γ = 119.49°
Closest atoms and distances in Å follow each position.
Sites, in units of the cell vectors:
Li: 0.7731 0.2477 0.4237  3 O 1.99-2.04
Li: 0.2269 0.7523 0.5763  3 O 1.99-2.04
Sn: 0.6448 0.7937 0.4410  6 O 2.04-2.10
Sn: 0.8641 0.2102 0.0667  6 O 2.03-2.10
Sn: 0.1359 0.7898 0.9333  6 O 2.03-2.10
Sn: 0.3552 0.2063 0.5590  6 O 2.04-2.10
P: 0.0391 0.0066 0.7527  4 O 1.54-1.57
P: 0.4632 0.7171 0.7501  4 O 1.53-1.57
P: 0.9609 0.9934 0.2473  4 O 1.54-1.57
P: 0.5368 0.2829 0.2499  4 O 1.53-1.57
P: 0.7497 0.2914 0.7457  4 O 1.52-1.57
P: 0.2503 0.7086 0.2543  4 O 1.52-1.57
O: 0.2537 0.8816 0.4301  1 P 1.57
O: 0.8291 0.8384 0.2989  1 P 1.54
O: 0.8843 0.1262 0.2473  1 P 1.57
O: 0.7356 0.3362 0.2332  1 P 1.56
O: 0.3807 0.0885 0.0764  1 P 1.53
O: 0.7463 0.1184 0.5699  1 P 1.57
O: 0.2644 0.6638 0.7668  1 P 1.56
O: 0.1627 0.1559 0.3778  1 P 1.54
O: 0.6193 0.9115 0.9236  1 P 1.53
O: 0.5520 0.2522 0.7340  1 P 1.54
O: 0.9615 0.8609 0.0589  1 P 1.54
O: 0.0385 0.1391 0.9411  1 P 1.54
O: 0.8373 0.8441 0.6222  1 P 1.54
O: 0.4480 0.7478 0.2660  1 P 1.54
O: 0.1709 0.1616 0.7011  1 P 1.54
O: 0.1102 0.5008 0.2480  1 P 1.55
O: 0.4783 0.5286 0.6973  1 P 1.53
O: 0.4704 0.7651 0.6011  1 P 1.57
O: 0.8898 0.4992 0.7520  1 P 1.55
O: 0.1157 0.8738 0.7527  1 P 1.57
O: 0.5217 0.4714 0.3027  1 P 1.53
O: 0.5296 0.2349 0.3989  1 P 1.57
O: 0.8159 0.2987 0.9070  1 P 1.52
O: 0.1841 0.7013 0.0930  1 P 1.52

Values from the calculation:
Mass density: 3.639 g/cm³
E_tot: -0.251 hartree per atom

***

(3)
# MgZn

A relaxed MgZn crystal (PBE, the Materials Project).

a = 5.7367 Å, b = 5.7367 Å, c = 6.8437 Å
α = 74.84°, β = 74.84°, γ = 30.70°
Closest atoms and distances in Å follow each position.
Sites, in units of the cell vectors:
Mg: 0.9990 0.9990 0.0168  5 Zn 2.85-3.05, 7 Mg 3.00-3.10
Mg: 0.6675 0.6675 0.6478  6 Zn 2.74-2.99, 4 Mg 3.04-3.06
Mg: 0.2784 0.2784 0.9469  5 Zn 2.89-2.97, 7 Mg 3.00-3.06
Zn: 0.6082 0.6082 0.2839  5 Mg 2.74-2.97, 7 Zn 2.87-3.04
Zn: 0.3363 0.3363 0.3336  5 Mg 2.85-2.89, 7 Zn 2.89-3.04
Zn: 0.9439 0.9439 0.6043  6 Zn 2.87-3.04, 6 Mg 2.97-3.05

Values from the calculation:
Mass density: 4.038 g/cm³
E_tot: -0.053 hartree per atom

***

(4)
# CsI

A relaxed CsI crystal (PBE, the Materials Project).

a = 5.5701 Å, b = 11.0971 Å, c = 7.9098 Å
α = 90.00°, β = 90.00°, γ = 90.00°
Closest atoms and distances in Å follow each position.
Sites, in units of the cell vectors:
Cs: 0.7500 0.8828 0.7493  6 I 3.91-3.97
Cs: 0.7500 0.3828 0.7507  6 I 3.91-3.97
Cs: 0.2500 0.1172 0.2507  6 I 3.91-3.97
Cs: 0.2500 0.6172 0.2493  6 I 3.91-3.97
I: 0.7500 0.8693 0.2482  6 Cs 3.91-3.97
I: 0.7500 0.3693 0.2518  6 Cs 3.91-3.97
I: 0.2500 0.1307 0.7518  6 Cs 3.91-3.97
I: 0.2500 0.6307 0.7482  6 Cs 3.91-3.97

Values from the calculation:
Mass density: 3.530 g/cm³
E_tot: -0.101 hartree per atom

***

(5)
# LiTi2O4

A relaxed LiTi2O4 crystal (PBE, the Materials Project).

a = 7.8663 Å, b = 7.8868 Å, c = 10.6502 Å
α = 99.16°, β = 87.27°, γ = 119.87°
Closest atoms and distances in Å follow each position.
Sites, in units of the cell vectors:
Li: 0.0426 0.1824 0.7813  4 O 1.90-2.12
Li: 0.3199 0.6122 0.7776  3 O 1.89-2.11
Li: 0.6069 0.0531 0.7812  4 O 1.89-2.08
Li: 0.7458 0.5453 0.7374  3 O 2.07-2.13
Li: 0.2519 0.2500 0.2212  3 O 1.89-2.07
Li: 0.5897 0.9601 0.2639  3 O 2.10-2.21
Li: 0.9598 0.8057 0.2210  3 O 1.89-2.08
Ti: 0.2273 0.0805 0.5041  6 O 1.96-2.10
Ti: 0.0553 0.3496 0.4963  6 O 1.96-2.12
Ti: 0.3517 0.7801 0.4969  6 O 1.93-2.07
Ti: 0.6441 0.2176 0.5032  6 O 2.00-2.03
Ti: 0.9301 0.6437 0.4957  6 O 1.98-2.05
Ti: 0.5011 0.5041 0.4954  6 O 1.98-2.04
Ti: 0.7870 0.9215 0.5045  6 O 1.99-2.07
Ti: 0.1468 0.7202 0.9953  6 O 2.03-2.07
Ti: 0.4178 0.1323 0.9964  6 O 2.00-2.08
Ti: 0.7001 0.5601 0.0066  6 O 1.99-2.07
Ti: 0.2888 0.4367 0.0078  6 O 1.96-2.08
Ti: 0.5856 0.8573 0.9950  6 O 2.01-2.08
Ti: 0.8617 0.2983 0.0175  6 O 1.96-2.11
Ti: 0.9905 0.9898 0.9915  6 O 1.98-2.07
O: 0.2292 0.1686 0.8993  3 Ti 2.00-2.08, 1 Li 2.03
O: 0.0933 0.4484 0.8987  3 Ti 2.02-2.10, 2 Li 2.12-2.13
O: 0.3819 0.8755 0.8886  3 Ti 2.05-2.08, 2 Li 2.05-2.06
O: 0.6626 0.3049 0.9031  3 Ti 2.02-2.05, 1 Li 2.05
O: 0.9336 0.7271 0.8992  3 Ti 1.98-2.07, 1 Li 2.13
O: 0.5160 0.5913 0.8945  3 Ti 2.01-2.06, 1 Li 2.11
O: 0.8086 0.0394 0.8927  3 Ti 2.03-2.11, 2 Li 2.05-2.08
O: 0.1725 0.8570 0.5930  3 Ti 1.98-1.99
O: 0.4619 0.2938 0.6017  3 Ti 1.96-2.04
O: 0.7428 0.7074 0.6037  3 Ti 2.01-2.03, 1 Li 2.07
O: 0.0319 0.1464 0.6010  1 Li 1.90, 3 Ti 2.03-2.04
O: 0.3164 0.5721 0.5976  1 Li 1.89, 3 Ti 2.00-2.12
O: 0.6000 0.0000 0.6016  1 Li 1.89, 3 Ti 2.03-2.07
O: 0.8837 0.4328 0.6043  3 Ti 2.00-2.05, 1 Li 2.09
O: 0.1171 0.5717 0.4028  3 Ti 1.93-1.99
O: 0.4058 0.0001 0.3999  3 Ti 2.01-2.03, 1 Li 2.10
O: 0.6858 0.4301 0.4036  3 Ti 1.98-2.01
O: 0.9719 0.8609 0.4005  1 Li 1.89, 3 Ti 1.99-2.10
O: 0.2539 0.2825 0.4006  1 Li 1.89, 3 Ti 2.00-2.06
O: 0.5447 0.7246 0.4005  3 Ti 1.98-2.02
O: 0.8210 0.1358 0.3994  3 Ti 1.96-2.07, 1 Li 2.10
O: 0.1874 0.9772 0.1034  3 Ti 2.03-2.05, 2 Li 2.13-2.14
O: 0.4710 0.3919 0.1045  3 Ti 1.99-2.03, 1 Li 2.02
O: 0.0571 0.2582 0.1018  3 Ti 1.99-2.07, 1 Li 2.07
O: 0.3469 0.6985 0.0950  3 Ti 1.96-2.03
O: 0.6242 0.1114 0.0988  3 Ti 1.98-2.08, 1 Li 2.21
O: 0.9169 0.5600 0.1036  3 Ti 1.96-2.05, 1 Li 2.01
O: 0.7702 0.8323 0.1060  3 Ti 2.02-2.05, 1 Li 2.08

Values from the calculation:
Mass density: 3.427 g/cm³
E_tot: -0.298 hartree per atom

***

(6)
# InSiN2

A relaxed InSiN2 crystal (PBE, the Materials Project).

a = 5.5506 Å, b = 10.3257 Å, c = 13.9103 Å
α = 90.00°, β = 90.00°, γ = 90.00°
Closest atoms and distances in Å follow each position.
Sites, in units of the cell vectors:
In: 0.7763 0.0003 0.4234  2 N 2.21-2.33
In: 0.2763 0.4997 0.5766  2 N 2.21-2.33
In: 0.2237 0.5003 0.0766  2 N 2.21-2.33
In: 0.7237 0.9997 0.9234  2 N 2.21-2.33
In: 0.2237 0.9997 0.5766  2 N 2.21-2.33
In: 0.7237 0.5003 0.4234  2 N 2.21-2.33
In: 0.7763 0.4997 0.9234  2 N 2.21-2.33
In: 0.2763 0.0003 0.0766  2 N 2.21-2.33
In: 0.8889 0.2303 0.3201  4 N 2.29-2.54
In: 0.3889 0.2697 0.6799  4 N 2.29-2.54
In: 0.1111 0.7303 0.1799  4 N 2.29-2.54
In: 0.6111 0.7697 0.8201  4 N 2.29-2.54
In: 0.1111 0.7697 0.6799  4 N 2.29-2.54
In: 0.6111 0.7303 0.3201  4 N 2.29-2.54
In: 0.8889 0.2697 0.8201  4 N 2.29-2.54
In: 0.3889 0.2303 0.1799  4 N 2.29-2.54
Si: 0.7993 0.9951 0.1867  4 N 1.73-1.79
Si: 0.2993 0.5049 0.8133  4 N 1.73-1.79
Si: 0.2007 0.4951 0.3133  4 N 1.73-1.79
Si: 0.7007 0.0049 0.6867  4 N 1.73-1.79
Si: 0.2007 0.0049 0.8133  4 N 1.73-1.79
Si: 0.7007 0.4951 0.1867  4 N 1.73-1.79
Si: 0.7993 0.5049 0.6867  4 N 1.73-1.79
Si: 0.2993 0.9951 0.3133  4 N 1.73-1.79
Si: 0.8389 0.2645 0.0600  4 N 1.74-1.80
Si: 0.3389 0.2355 0.9400  4 N 1.74-1.80
Si: 0.1611 0.7645 0.4400  4 N 1.74-1.80
Si: 0.6611 0.7355 0.5600  4 N 1.74-1.80
Si: 0.1611 0.7355 0.9400  4 N 1.74-1.80
Si: 0.6611 0.7645 0.0600  4 N 1.74-1.80
Si: 0.8389 0.2355 0.5600  4 N 1.74-1.80
Si: 0.3389 0.2645 0.4400  4 N 1.74-1.80
N: 0.4245 0.4402 0.2332  2 Si 1.76
N: 0.9245 0.0598 0.7668  2 Si 1.76
N: 0.5755 0.9402 0.2668  2 Si 1.76
N: 0.0755 0.5598 0.7332  2 Si 1.76
N: 0.5755 0.5598 0.7668  2 Si 1.76
N: 0.0755 0.9402 0.2332  2 Si 1.76
N: 0.4245 0.0598 0.7332  2 Si 1.76
N: 0.9245 0.4402 0.2668  2 Si 1.76
N: 0.6503 0.2986 0.4676  2 Si 1.78-1.80
N: 0.1503 0.2014 0.5324  2 Si 1.78-1.80
N: 0.3497 0.7986 0.0324  2 Si 1.78-1.80
N: 0.8497 0.7014 0.9676  2 Si 1.78-1.80
N: 0.3497 0.7014 0.5324  2 Si 1.78-1.80
N: 0.8497 0.7986 0.4676  2 Si 1.78-1.80
N: 0.6503 0.2014 0.9676  2 Si 1.78-1.80
N: 0.1503 0.2986 0.0324  2 Si 1.78-1.80
N: 0.7120 0.4167 0.0771  2 Si 1.73-1.74
N: 0.2120 0.0833 0.9229  2 Si 1.73-1.74
N: 0.2880 0.9167 0.4229  2 Si 1.73-1.74
N: 0.7880 0.5833 0.5771  2 Si 1.73-1.74
N: 0.2880 0.5833 0.9229  2 Si 1.73-1.74
N: 0.7880 0.9167 0.0771  2 Si 1.73-1.74
N: 0.7120 0.0833 0.5771  2 Si 1.73-1.74
N: 0.2120 0.4167 0.4229  2 Si 1.73-1.74
N: 0.8044 0.1663 0.1659  2 Si 1.79-1.80
N: 0.3044 0.3337 0.8341  2 Si 1.79-1.80
N: 0.1956 0.6663 0.3341  2 Si 1.79-1.80
N: 0.6956 0.8337 0.6659  2 Si 1.79-1.80
N: 0.1956 0.8337 0.8341  2 Si 1.79-1.80
N: 0.6956 0.6663 0.1659  2 Si 1.79-1.80
N: 0.8044 0.3337 0.6659  2 Si 1.79-1.80
N: 0.3044 0.1663 0.3341  2 Si 1.79-1.80

Values from the calculation:
Mass density: 5.696 g/cm³
E_tot: -0.242 hartree per atom

***

(7)
# CaSiH4O2F6

A relaxed CaSiH4O2F6 crystal (PBE, the Materials Project).

a = 5.8151 Å, b = 9.3213 Å, c = 10.6319 Å
α = 90.00°, β = 99.35°, γ = 90.00°
Closest atoms and distances in Å follow each position.
Sites, in units of the cell vectors:
Ca: 0.8406 0.3152 0.5462  5 F 2.35-2.46, 3 O 2.47-2.52
Ca: 0.3406 0.1848 0.0462  5 F 2.35-2.46, 3 O 2.47-2.52
Ca: 0.1594 0.6848 0.4538  5 F 2.35-2.46, 3 O 2.47-2.52
Ca: 0.6594 0.8152 0.9538  5 F 2.35-2.46, 3 O 2.47-2.52
Si: 0.5978 0.5364 0.2342  6 F 1.70-1.73
Si: 0.0978 0.9636 0.7342  6 F 1.70-1.73
Si: 0.4022 0.4636 0.7658  6 F 1.70-1.73
Si: 0.9022 0.0364 0.2658  6 F 1.70-1.73
H: 0.7483 0.6481 0.5741  1 O 0.99
H: 0.2483 0.8519 0.0741  1 O 0.99
H: 0.2517 0.3519 0.4259  1 O 0.99
H: 0.7517 0.1481 0.9259  1 O 0.99
H: 0.9587 0.5922 0.6758  1 O 0.99
H: 0.4587 0.9078 0.1758  1 O 0.99
H: 0.0413 0.4078 0.3242  1 O 0.99
H: 0.5413 0.0922 0.8242  1 O 0.99
H: 0.4389 0.1398 0.4072  1 O 0.98
H: 0.9389 0.3602 0.9072  1 O 0.98
H: 0.5611 0.8602 0.5928  1 O 0.98
H: 0.0611 0.6398 0.0928  1 O 0.98
H: 0.3910 0.1483 0.5483  1 O 0.99
H: 0.8910 0.3517 0.0483  1 O 0.99
H: 0.6090 0.8517 0.4517  1 O 0.99
H: 0.1090 0.6483 0.9517  1 O 0.99
O: 0.8821 0.5811 0.5866  2 H 0.99
O: 0.3821 0.9189 0.0866  2 H 0.99
O: 0.1179 0.4189 0.4134  2 H 0.99
O: 0.6179 0.0811 0.9134  2 H 0.99
O: 0.4552 0.2023 0.4820  2 H 0.98-0.99
O: 0.9552 0.2977 0.9820  2 H 0.98-0.99
O: 0.5448 0.7977 0.5180  2 H 0.98-0.99
O: 0.0448 0.7023 0.0180  2 H 0.98-0.99
F: 0.3995 0.4159 0.1589  1 Si 1.71
F: 0.8995 0.0841 0.6589  1 Si 1.71
F: 0.6005 0.5841 0.8411  1 Si 1.71
F: 0.1005 0.9159 0.3411  1 Si 1.71
F: 0.8032 0.6526 0.3135  1 Si 1.73
F: 0.3032 0.8474 0.8135  1 Si 1.73
F: 0.1968 0.3474 0.6865  1 Si 1.73
F: 0.6968 0.1526 0.1865  1 Si 1.73
F: 0.3774 0.6322 0.2867  1 Si 1.73
F: 0.8774 0.8678 0.7867  1 Si 1.73
F: 0.6226 0.3678 0.7133  1 Si 1.73
F: 0.1226 0.1322 0.2133  1 Si 1.73
F: 0.8247 0.4456 0.1823  1 Si 1.73, 2 H 1.77-1.84
F: 0.3247 0.0544 0.6823  1 Si 1.73, 2 H 1.77-1.84
F: 0.1753 0.5544 0.8177  1 Si 1.73, 2 H 1.77-1.84
F: 0.6753 0.9456 0.3177  1 Si 1.73, 2 H 1.77-1.84
F: 0.5698 0.6414 0.1019  1 Si 1.70
F: 0.0698 0.8586 0.6019  1 Si 1.70
F: 0.4302 0.3586 0.8981  1 Si 1.70
F: 0.9302 0.1414 0.3981  1 Si 1.70
F: 0.6266 0.4324 0.3689  1 Si 1.72
F: 0.1266 0.0676 0.8689  1 Si 1.72
F: 0.3734 0.5676 0.6311  1 Si 1.72
F: 0.8734 0.9324 0.1311  1 Si 1.72

Values from the calculation:
Mass density: 2.549 g/cm³
E_tot: -0.200 hartree per atom

***

(8)
# Ba2Sn3O7

A relaxed Ba2Sn3O7 crystal (PBE, the Materials Project).

a = 3.8841 Å, b = 4.0543 Å, c = 13.7276 Å
α = 90.00°, β = 90.00°, γ = 90.00°
Closest atoms and distances in Å follow each position.
Sites, in units of the cell vectors:
Ba: 0.0000 0.0000 0.7907  8 O 2.70-2.95
Ba: 0.0000 0.0000 0.2093  8 O 2.70-2.95
Sn: 0.5000 0.5000 0.6045  4 O 2.09-2.13
Sn: 0.5000 0.5000 0.3955  4 O 2.09-2.13
Sn: 0.5000 0.5000 0.0000  4 O 1.97-2.03
O: 0.5000 0.0000 0.0000  2 Sn 2.03
O: 0.0000 0.5000 0.6613  2 Sn 2.09
O: 0.0000 0.5000 0.3387  2 Sn 2.09
O: 0.5000 0.0000 0.6529  2 Sn 2.13
O: 0.5000 0.0000 0.3471  2 Sn 2.13
O: 0.5000 0.5000 0.8567  1 Sn 1.97
O: 0.5000 0.5000 0.1433  1 Sn 1.97

Values from the calculation:
Mass density: 5.706 g/cm³
E_tot: -0.220 hartree per atom